YNb2NO5 | GGA-PBE | optimized geometry

```
data_YNb2NO5
_chemical_formula_sum 'Y4 Nb8 N4 O20'
_space_group_name_H-M_alt 'P 1'
_space_group_IT_number 1
_cell_length_a 14.9913
_cell_length_b 5.2708
_cell_length_c 5.9572
_cell_angle_alpha 89.69
_cell_angle_beta 90.00
_cell_angle_gamma 90.00
loop_
_space_group_symop_operation_xyz
'x,y,z'
loop_
_atom_site_label
_atom_site_fract_x
_atom_site_fract_y
_atom_site_fract_z
_atom_site_occupancy
O1 0.6655 0.8979 0.8914 1
O2 0.1508 0.0444 0.0852 1
O3 0.0047 0.9209 0.8638 1
O4 0.3477 0.4748 0.0833 1
O5 0.8525 0.5393 0.4120 1
O6 0.3337 0.3908 0.6165 1
O7 0.6522 0.9609 0.4149 1
O8 0.8321 0.1034 0.1189 1
O9 0.3478 0.9609 0.9149 1
O10 0.1475 0.5393 0.9120 1
O11 0.9953 0.9209 0.3638 1
O12 0.3345 0.8979 0.3914 1
O13 0.6523 0.4748 0.5833 1
O14 0.1679 0.1034 0.6189 1
O15 0.0057 0.4033 0.1318 1
O16 0.8492 0.0444 0.5852 1
O17 0.9943 0.4033 0.6318 1
O18 0.5052 0.5903 0.3658 1
O19 0.4948 0.5903 0.8658 1
O20 0.6663 0.3908 0.1165 1
Nb1 0.5761 0.2544 0.3157 1
Nb2 0.0869 0.7269 0.1884 1
Nb3 0.9131 0.7269 0.6884 1
Nb4 0.0820 0.2263 0.8169 1
Nb5 0.5825 0.7759 0.6833 1
Nb6 0.4239 0.2544 0.8157 1
Nb7 0.4175 0.7759 0.1833 1
Nb8 0.9180 0.2263 0.3169 1
N1 0.1679 0.6075 0.3900 1
N2 0.4934 0.0926 0.1186 1
N3 0.8321 0.6075 0.8900 1
N4 0.5066 0.0926 0.6186 1
Y1 0.7482 0.7355 0.2054 1
Y2 0.2518 0.7355 0.7054 1
Y3 0.2519 0.2549 0.2981 1
Y4 0.7481 0.2549 0.7981 1
```

Distance to the lowest polymorph of the same formula in meV/atom: 14
Symmetry: Pc, No. 7
Formation energy from the elements in kJ/mol of formula units: -2529

---

Nb3Pb3N5 | GGA-PBE | optimized geometry

```
data_Nb3Pb3N5
_chemical_formula_sum 'Nb6 Pb6 N10'
_space_group_name_H-M_alt 'P 1'
_space_group_IT_number 1
_cell_length_a 6.3802
_cell_length_b 7.9568
_cell_length_c 9.2484
_cell_angle_alpha 104.98
_cell_angle_beta 96.23
_cell_angle_gamma 104.06
loop_
_space_group_symop_operation_xyz
'x,y,z'
loop_
_atom_site_label
_atom_site_fract_x
_atom_site_fract_y
_atom_site_fract_z
_atom_site_occupancy
N1 0.9656 0.1292 0.7701 1
N2 0.3232 0.9499 0.5710 1
N3 0.1473 0.8174 0.8794 1
N4 0.6768 0.0501 0.4290 1
N5 0.1997 0.4816 0.0371 1
N6 0.8003 0.5184 0.9629 1
N7 0.8175 0.7874 0.5834 1
N8 0.1825 0.2126 0.4166 1
N9 0.8527 0.1826 0.1206 1
N10 0.0344 0.8708 0.2299 1
Nb1 0.9181 0.3010 0.9607 1
Nb2 0.3288 0.0153 0.3778 1
Nb3 0.0819 0.6990 0.0393 1
Nb4 0.8994 0.0758 0.2872 1
Nb5 0.1006 0.9242 0.7128 1
Nb6 0.6712 0.9847 0.6222 1
Pb1 0.4742 0.3492 0.7790 1
Pb2 0.5179 0.7924 0.8746 1
Pb3 0.5258 0.6508 0.2210 1
Pb4 0.7468 0.4544 0.5120 1
Pb5 0.4821 0.2076 0.1254 1
Pb6 0.2532 0.5456 0.4880 1
```

Symmetry: P-1, No. 2
Formation energy from the elements in kJ/mol of formula units: -442

---

NbSN | GGA-PBE | optimized geometry

```
data_NbSN
_chemical_formula_sum 'Nb2 S2 N2'
_space_group_name_H-M_alt 'P 1'
_space_group_IT_number 1
_cell_length_a 3.5922
_cell_length_b 3.5922
_cell_length_c 6.1223
_cell_angle_alpha 90.00
_cell_angle_beta 90.00
_cell_angle_gamma 90.00
loop_
_space_group_symop_operation_xyz
'x,y,z'
loop_
_atom_site_label
_atom_site_fract_x
_atom_site_fract_y
_atom_site_fract_z
_atom_site_occupancy
N1 0.5000 0.5000 0.0000 1
N2 0.0000 0.0000 0.0000 1
S1 0.0000 0.5000 0.3835 1
S2 0.5000 0.0000 0.6165 1
Nb1 0.5000 0.0000 0.1861 1
Nb2 0.0000 0.5000 0.8139 1
```

Symmetry: P4/nmm, No. 129
Formation energy from the elements in kJ/mol of formula units: -282

---

ScNbN | GGA-PBE | optimized geometry

```
data_ScNbN
_chemical_formula_sum 'Sc2 Nb2 N2'
_space_group_name_H-M_alt 'P 1'
_space_group_IT_number 1
_cell_length_a 3.1110
_cell_length_b 3.1110
_cell_length_c 10.3572
_cell_angle_alpha 90.00
_cell_angle_beta 90.00
_cell_angle_gamma 120.00
loop_
_space_group_symop_operation_xyz
'x,y,z'
loop_
_atom_site_label
_atom_site_fract_x
_atom_site_fract_y
_atom_site_fract_z
_atom_site_occupancy
N1 0.6667 0.3333 0.3722 1
N2 0.3333 0.6667 0.6278 1
Nb1 0.6667 0.3333 0.7526 1
Nb2 0.3333 0.6667 0.2474 1
Sc1 0.0000 0.0000 0.5000 1
Sc2 0.0000 0.0000 0.0000 1
```

Symmetry: P-3m1, No. 164
Formation energy from the elements in kJ/mol of formula units: -322

---

NbSeN | GGA-PBE | optimized geometry

```
data_NbSeN
_chemical_formula_sum 'Nb2 Se2 N2'
_space_group_name_H-M_alt 'P 1'
_space_group_IT_number 1
_cell_length_a 3.6725
_cell_length_b 3.6725
_cell_length_c 6.3782
_cell_angle_alpha 90.00
_cell_angle_beta 90.00
_cell_angle_gamma 90.00
loop_
_space_group_symop_operation_xyz
'x,y,z'
loop_
_atom_site_label
_atom_site_fract_x
_atom_site_fract_y
_atom_site_fract_z
_atom_site_occupancy
Nb1 0.5000 0.0000 0.1730 1
Nb2 0.0000 0.5000 0.8270 1
Se1 0.0000 0.5000 0.3815 1
Se2 0.5000 0.0000 0.6185 1
N1 0.0000 0.0000 0.0000 1
N2 0.5000 0.5000 0.0000 1
```

Symmetry: P4/nmm, No. 129
Formation energy from the elements in kJ/mol of formula units: -205

---

Sr3Nb2N4 | GGA-PBE | optimized geometry

```
data_Sr3Nb2N4
_chemical_formula_sum 'Sr6 Nb4 N8'
_space_group_name_H-M_alt 'P 1'
_space_group_IT_number 1
_cell_length_a 9.5608
_cell_length_b 8.3281
_cell_length_c 6.1775
_cell_angle_alpha 90.00
_cell_angle_beta 70.01
_cell_angle_gamma 115.82
loop_
_space_group_symop_operation_xyz
'x,y,z'
loop_
_atom_site_label
_atom_site_fract_x
_atom_site_fract_y
_atom_site_fract_z
_atom_site_occupancy
N1 0.3297 0.3341 0.1269 1
N2 0.3961 0.7845 0.1690 1
N3 0.6703 0.0044 0.3731 1
N4 0.6703 0.6659 0.8731 1
N5 0.3297 0.9956 0.6269 1
N6 0.3961 0.6116 0.6690 1
N7 0.6039 0.2155 0.8310 1
N8 0.6039 0.3884 0.3310 1
Sr1 0.0000 0.2454 0.2500 1
Sr2 0.2812 0.2904 0.5758 1
Sr3 0.0000 0.7546 0.7500 1
Sr4 0.7188 0.7096 0.4242 1
Sr5 0.7188 0.0092 0.9242 1
Sr6 0.2812 0.9908 0.0758 1
Nb1 0.5830 0.1823 0.5253 1
Nb2 0.5830 0.4006 0.0253 1
Nb3 0.4170 0.8177 0.4747 1
Nb4 0.4170 0.5994 0.9747 1
```

Distance to the lowest polymorph of the same formula in meV/atom: 0
Symmetry: C2/c, No. 15
Formation energy from the elements in kJ/mol of formula units: -831

---

Sr3NbN3 | GGA-PBE | optimized geometry

```
data_Sr3NbN3
_chemical_formula_sum 'Sr6 Nb2 N6'
_space_group_name_H-M_alt 'P 1'
_space_group_IT_number 1
_cell_length_a 7.9672
_cell_length_b 7.9672
_cell_length_c 5.5077
_cell_angle_alpha 90.00
_cell_angle_beta 90.00
_cell_angle_gamma 120.00
loop_
_space_group_symop_operation_xyz
'x,y,z'
loop_
_atom_site_label
_atom_site_fract_x
_atom_site_fract_y
_atom_site_fract_z
_atom_site_occupancy
Sr1 0.7613 0.1178 0.2500 1
Sr2 0.1178 0.3565 0.7500 1
Sr3 0.2387 0.8822 0.7500 1
Sr4 0.8822 0.6435 0.2500 1
Sr5 0.6435 0.7613 0.7500 1
Sr6 0.3565 0.2387 0.2500 1
N1 0.1355 0.3907 0.2500 1
N2 0.3907 0.2553 0.7500 1
N3 0.7447 0.1355 0.7500 1
N4 0.2553 0.8645 0.2500 1
N5 0.6093 0.7447 0.2500 1
N6 0.8645 0.6093 0.7500 1
Nb1 0.6667 0.3333 0.7500 1
Nb2 0.3333 0.6667 0.2500 1
```

Symmetry: P6_3/m, No. 176
Formation energy from the elements in kJ/mol of formula units: -665

---

Sr3Nb3N5 | GGA-PBE | optimized geometry

```
data_Sr3Nb3N5
_chemical_formula_sum 'Sr6 Nb6 N10'
_space_group_name_H-M_alt 'P 1'
_space_group_IT_number 1
_cell_length_a 6.2008
_cell_length_b 8.0495
_cell_length_c 8.2139
_cell_angle_alpha 107.59
_cell_angle_beta 101.96
_cell_angle_gamma 102.07
loop_
_space_group_symop_operation_xyz
'x,y,z'
loop_
_atom_site_label
_atom_site_fract_x
_atom_site_fract_y
_atom_site_fract_z
_atom_site_occupancy
N1 0.5988 0.0358 0.3511 1
N2 0.1755 0.6565 0.7676 1
N3 0.2635 0.2529 0.4355 1
N4 0.9991 0.9007 0.1591 1
N5 0.0009 0.0993 0.8409 1
N6 0.8245 0.3435 0.2324 1
N7 0.7709 0.5095 0.9120 1
N8 0.7365 0.7471 0.5645 1
N9 0.4012 0.9642 0.6489 1
N10 0.2291 0.4905 0.0880 1
Sr1 0.3621 0.1737 0.1216 1
Sr2 0.2524 0.5655 0.4236 1
Sr3 0.3124 0.3300 0.7722 1
Sr4 0.6876 0.6700 0.2278 1
Sr5 0.7476 0.4345 0.5764 1
Sr6 0.6379 0.8263 0.8784 1
Nb1 0.7234 0.0091 0.5989 1
Nb2 0.9033 0.3172 0.9992 1
Nb3 0.0958 0.8718 0.7006 1
Nb4 0.2766 0.9909 0.4011 1
Nb5 0.9042 0.1282 0.2994 1
Nb6 0.0967 0.6828 0.0008 1
```

Symmetry: P-1, No. 2
Formation energy from the elements in kJ/mol of formula units: -1029

---

Sr3Nb2N4 | GGA-PBE | optimized geometry

```
data_Sr3Nb2N4
_chemical_formula_sum 'Sr12 Nb8 N16'
_space_group_name_H-M_alt 'P 1'
_space_group_IT_number 1
_cell_length_a 6.1583
_cell_length_b 10.8042
_cell_length_c 9.9747
_cell_angle_alpha 90.00
_cell_angle_beta 90.00
_cell_angle_gamma 90.00
loop_
_space_group_symop_operation_xyz
'x,y,z'
loop_
_atom_site_label
_atom_site_fract_x
_atom_site_fract_y
_atom_site_fract_z
_atom_site_occupancy
Nb1 0.2500 0.0000 0.2353 1
Nb2 0.8834 0.7500 0.7500 1
Nb3 0.7500 0.5000 0.7353 1
Nb4 0.1166 0.2500 0.2500 1
Nb5 0.6166 0.2500 0.7500 1
Nb6 0.3834 0.7500 0.2500 1
Nb7 0.7500 0.0000 0.7647 1
Nb8 0.2500 0.5000 0.2647 1
Sr1 0.3857 0.6578 0.9210 1
Sr2 0.8857 0.8422 0.4210 1
Sr3 0.2500 0.5000 0.5996 1
Sr4 0.6143 0.1578 0.4210 1
Sr5 0.2500 0.0000 0.9004 1
Sr6 0.1143 0.3422 0.9210 1
Sr7 0.7500 0.5000 0.4004 1
Sr8 0.1143 0.1578 0.5790 1
Sr9 0.8857 0.6578 0.0790 1
Sr10 0.3857 0.8422 0.5790 1
Sr11 0.7500 0.0000 0.0996 1
Sr12 0.6143 0.3422 0.0790 1
N1 0.4997 0.9210 0.3370 1
N2 0.6804 0.8473 0.8776 1
N3 0.9997 0.5790 0.8370 1
N4 0.9997 0.9210 0.6630 1
N5 0.0003 0.4210 0.1630 1
N6 0.5003 0.0790 0.6630 1
N7 0.8196 0.3473 0.6224 1
N8 0.3196 0.3473 0.3776 1
N9 0.3196 0.1527 0.1224 1
N10 0.1804 0.6527 0.3776 1
N11 0.4997 0.5790 0.1630 1
N12 0.6804 0.6527 0.6224 1
N13 0.8196 0.1527 0.8776 1
N14 0.1804 0.8473 0.1224 1
N15 0.5003 0.4210 0.8370 1
N16 0.0003 0.0790 0.3370 1
```

Distance to the lowest polymorph of the same formula in meV/atom: 50
Symmetry: Pnna, No. 52
Formation energy from the elements in kJ/mol of formula units: -788

---

Nb4Te3N2 | GGA-PBE | optimized geometry

```
data_Nb4Te3N2
_chemical_formula_sum 'Nb16 Te12 N8'
_space_group_name_H-M_alt 'P 1'
_space_group_IT_number 1
_cell_length_a 5.7992
_cell_length_b 10.5043
_cell_length_c 12.5269
_cell_angle_alpha 90.00
_cell_angle_beta 90.00
_cell_angle_gamma 90.00
loop_
_space_group_symop_operation_xyz
'x,y,z'
loop_
_atom_site_label
_atom_site_fract_x
_atom_site_fract_y
_atom_site_fract_z
_atom_site_occupancy
Nb1 0.6604 0.2500 0.5557 1
Nb2 0.1088 0.2500 0.6635 1
Nb3 0.7586 0.9604 0.5122 1
Nb4 0.8912 0.7500 0.3365 1
Nb5 0.8396 0.7500 0.0557 1
Nb6 0.2414 0.4604 0.4878 1
Nb7 0.1604 0.2500 0.9443 1
Nb8 0.7414 0.4604 0.0122 1
Nb9 0.2414 0.0396 0.4878 1
Nb10 0.2586 0.9604 0.9878 1
Nb11 0.6088 0.2500 0.8365 1
Nb12 0.7414 0.0396 0.0122 1
Nb13 0.2586 0.5396 0.9878 1
Nb14 0.7586 0.5396 0.5122 1
Nb15 0.3396 0.7500 0.4443 1
Nb16 0.3912 0.7500 0.1635 1
N1 0.5540 0.8801 0.0549 1
N2 0.9460 0.1199 0.5549 1
N3 0.5540 0.6199 0.0549 1
N4 0.4460 0.1199 0.9451 1
N5 0.0540 0.8801 0.4451 1
N6 0.9460 0.3801 0.5549 1
N7 0.0540 0.6199 0.4451 1
N8 0.4460 0.3801 0.9451 1
Te1 0.5379 0.5531 0.3164 1
Te2 0.0379 0.5531 0.1836 1
Te3 0.1282 0.7500 0.8669 1
Te4 0.4621 0.4469 0.6836 1
Te5 0.3718 0.2500 0.3669 1
Te6 0.0379 0.9469 0.1836 1
Te7 0.9621 0.0531 0.8164 1
Te8 0.8718 0.2500 0.1331 1
Te9 0.9621 0.4469 0.8164 1
Te10 0.5379 0.9469 0.3164 1
Te11 0.4621 0.0531 0.6836 1
Te12 0.6282 0.7500 0.6331 1
```

Symmetry: Pnma, No. 62
Formation energy from the elements in kJ/mol of formula units: -478

---

NbVN2 | GGA-PBE | optimized geometry

```
data_NbVN2
_chemical_formula_sum 'Nb1 V1 N2'
_space_group_name_H-M_alt 'P 1'
_space_group_IT_number 1
_cell_length_a 5.2545
_cell_length_b 5.2545
_cell_length_c 5.2545
_cell_angle_alpha 33.71
_cell_angle_beta 33.71
_cell_angle_gamma 33.71
loop_
_space_group_symop_operation_xyz
'x,y,z'
loop_
_atom_site_label
_atom_site_fract_x
_atom_site_fract_y
_atom_site_fract_z
_atom_site_occupancy
Nb1 0.0000 0.0000 0.0000 1
N1 0.7568 0.7568 0.7568 1
N2 0.2432 0.2432 0.2432 1
V1 0.5000 0.5000 0.5000 1
```

Symmetry: R-3m, No. 166
Formation energy from the elements in kJ/mol of formula units: -412

---

Nb3Zn3N | GGA-PBE | optimized geometry

```
data_Nb3Zn3N
_chemical_formula_sum 'Nb12 Zn12 N4'
_space_group_name_H-M_alt 'P 1'
_space_group_IT_number 1
_cell_length_a 8.2988
_cell_length_b 8.2988
_cell_length_c 8.2988
_cell_angle_alpha 60.00
_cell_angle_beta 60.00
_cell_angle_gamma 60.00
loop_
_space_group_symop_operation_xyz
'x,y,z'
loop_
_atom_site_label
_atom_site_fract_x
_atom_site_fract_y
_atom_site_fract_z
_atom_site_occupancy
Zn1 0.6250 0.6250 0.6250 1
Zn2 0.5032 0.8323 0.8323 1
Zn3 0.8323 0.8323 0.5032 1
Zn4 0.4177 0.4177 0.4177 1
Zn5 0.6250 0.6250 0.1250 1
Zn6 0.1250 0.6250 0.6250 1
Zn7 0.6250 0.1250 0.6250 1
Zn8 0.4177 0.7468 0.4177 1
Zn9 0.4177 0.4177 0.7468 1
Zn10 0.8323 0.5032 0.8323 1
Zn11 0.8323 0.8323 0.8323 1
Zn12 0.7468 0.4177 0.4177 1
Nb1 0.0688 0.4312 0.0688 1
Nb2 0.1812 0.1812 0.8188 1
Nb3 0.4312 0.4312 0.0688 1
Nb4 0.0688 0.0688 0.4312 1
Nb5 0.8188 0.1812 0.1812 1
Nb6 0.8188 0.1812 0.8188 1
Nb7 0.0688 0.4312 0.4312 1
Nb8 0.1812 0.8188 0.1812 1
Nb9 0.4312 0.0688 0.0688 1
Nb10 0.1812 0.8188 0.8188 1
Nb11 0.4312 0.0688 0.4312 1
Nb12 0.8188 0.8188 0.1812 1
N1 0.1250 0.1250 0.1250 1
N2 0.6250 0.1250 0.1250 1
N3 0.1250 0.6250 0.1250 1
N4 0.1250 0.1250 0.6250 1
```

Symmetry: Fd-3m, No. 227
Formation energy from the elements in kJ/mol of formula units: -375